# 1
VASP calculation (PBE-GGA) on an optimized crystal structure of Sr2Al.

## Properties
Magnetization: 0.04 μB per formula unit
ΔH_f (0 K): -8 meV/atom

Geometry as POSCAR:
```
Sr2Al
1.0
4.875 7.390 0.000
-4.875 7.390 0.000
0.000 3.670 6.558
Sr Al
8 4
Direct
0.942 0.243 0.394 Sr
0.672 0.657 0.584 Sr
0.243 0.942 0.894 Sr
0.328 0.343 0.416 Sr
0.058 0.757 0.606 Sr
0.657 0.672 0.084 Sr
0.343 0.328 0.916 Sr
0.757 0.058 0.106 Sr
0.031 0.630 0.153 Al
0.370 0.969 0.347 Al
0.630 0.031 0.653 Al
0.969 0.370 0.847 Al
```



# 2
VASP calculation (PBE-GGA) on an optimized crystal structure of SrAl2.

## Properties
ΔH_f (0 K): -254 meV/atom

Geometry as POSCAR:
```
SrAl2
1.0
-4.145 -4.145 0.000
-4.145 0.000 -4.145
0.000 -4.145 -4.145
Al Sr
4 2
Direct
0.375 0.875 0.875 Al
0.875 0.875 0.375 Al
0.875 0.375 0.875 Al
0.875 0.875 0.875 Al
0.250 0.250 0.250 Sr
0.500 0.500 0.500 Sr
```



# 3
VASP calculation (PBE-GGA) on an optimized crystal structure of SrAl2.

## Properties
ΔH_f (0 K): -248 meV/atom

Geometry as POSCAR:
```
SrAl2
1.0
-4.474 -0.218 -0.301
-0.019 -3.494 2.818
-0.650 4.924 6.100
Sr Al
2 4
Direct
0.000 0.500 0.675 Sr
0.500 0.000 0.325 Sr
0.000 0.000 0.000 Al
0.000 0.500 0.205 Al
0.500 0.000 0.795 Al
0.500 0.500 0.000 Al
```



# 4
VASP calculation (PBE-GGA) on an optimized crystal structure of Sr5Al9.

## Properties
ΔH_f (0 K): -267 meV/atom

Geometry as POSCAR:
```
Sr5Al9
1.0
12.031 -2.933 0.000
12.031 2.933 0.000
11.316 0.000 5.030
Sr Al
5 9
Direct
0.683 0.683 0.683 Sr
0.217 0.217 0.217 Sr
0.500 0.500 0.500 Sr
0.317 0.317 0.317 Sr
0.783 0.783 0.783 Sr
0.236 0.725 0.236 Al
0.124 0.124 0.124 Al
0.275 0.764 0.764 Al
0.876 0.876 0.876 Al
0.764 0.764 0.275 Al
0.000 0.000 0.000 Al
0.764 0.275 0.764 Al
0.236 0.236 0.725 Al
0.725 0.236 0.236 Al
```



# 5
VASP calculation (PBE-GGA) on an optimized crystal structure of Ta13Al23.

## Properties
Magnetization: 0.01 μB per formula unit
ΔH_f (0 K): -248 meV/atom

Geometry as POSCAR:
```
Ta13Al23
1.0
11.793 -6.785 0.000
11.793 6.785 0.000
7.889 0.000 11.085
Al Ta
69 39
Direct
0.991 0.658 0.658 Al
0.582 0.265 0.892 Al
0.013 0.396 0.396 Al
0.337 0.337 0.663 Al
0.079 0.767 0.389 Al
0.380 0.766 0.766 Al
0.900 0.900 0.598 Al
0.663 0.337 0.337 Al
0.396 0.396 0.013 Al
0.264 0.892 0.264 Al
0.389 0.767 0.079 Al
0.265 0.582 0.892 Al
0.598 0.900 0.900 Al
0.265 0.892 0.582 Al
0.337 0.663 0.337 Al
0.141 0.141 0.952 Al
0.394 0.394 0.196 Al
0.952 0.141 0.141 Al
0.196 0.394 0.394 Al
0.767 0.389 0.079 Al
0.766 0.380 0.766 Al
0.581 0.263 0.263 Al
0.338 0.662 0.662 Al
0.892 0.264 0.264 Al
0.766 0.954 0.144 Al
0.766 0.144 0.954 Al
0.766 0.766 0.380 Al
0.816 0.515 0.816 Al
0.515 0.816 0.816 Al
0.141 0.952 0.141 Al
0.263 0.263 0.581 Al
0.552 0.552 0.345 Al
0.658 0.991 0.658 Al
0.264 0.264 0.892 Al
0.144 0.954 0.766 Al
0.396 0.014 0.196 Al
0.765 0.142 0.142 Al
0.396 0.013 0.396 Al
0.552 0.345 0.552 Al
0.767 0.767 0.086 Al
0.014 0.396 0.196 Al
0.892 0.265 0.582 Al
0.954 0.144 0.766 Al
0.394 0.196 0.394 Al
0.662 0.662 0.338 Al
0.674 0.674 0.674 Al
0.014 0.196 0.396 Al
0.263 0.581 0.263 Al
0.767 0.079 0.389 Al
0.892 0.582 0.265 Al
0.552 0.552 0.552 Al
0.835 0.835 0.835 Al
0.144 0.766 0.954 Al
0.196 0.014 0.396 Al
0.142 0.765 0.142 Al
0.900 0.598 0.900 Al
0.389 0.079 0.767 Al
0.767 0.086 0.767 Al
0.196 0.396 0.014 Al
0.954 0.766 0.144 Al
0.345 0.552 0.552 Al
0.396 0.196 0.014 Al
0.658 0.658 0.991 Al
0.662 0.338 0.662 Al
0.086 0.767 0.767 Al
0.079 0.389 0.767 Al
0.816 0.816 0.515 Al
0.582 0.892 0.265 Al
0.142 0.142 0.765 Al
0.529 0.162 0.782 Ta
0.620 0.375 0.003 Ta
0.625 0.006 0.006 Ta
0.006 0.006 0.625 Ta
0.620 0.003 0.375 Ta
0.157 0.157 0.157 Ta
0.532 0.157 0.157 Ta
0.167 0.524 0.524 Ta
0.782 0.529 0.162 Ta
0.162 0.529 0.782 Ta
0.524 0.524 0.167 Ta
0.779 0.408 0.408 Ta
0.408 0.408 0.779 Ta
0.003 0.375 0.620 Ta
0.529 0.781 0.529 Ta
0.364 0.008 0.008 Ta
0.250 0.250 0.250 Ta
0.008 0.364 0.008 Ta
0.782 0.162 0.529 Ta
0.781 0.529 0.529 Ta
0.006 0.625 0.006 Ta
0.157 0.532 0.157 Ta
0.910 0.271 0.910 Ta
0.524 0.167 0.524 Ta
0.529 0.529 0.781 Ta
0.914 0.914 0.914 Ta
0.408 0.779 0.408 Ta
0.407 0.407 0.407 Ta
0.003 0.620 0.375 Ta
0.529 0.782 0.162 Ta
0.271 0.910 0.910 Ta
0.755 0.755 0.755 Ta
0.157 0.157 0.532 Ta
0.008 0.008 0.364 Ta
0.910 0.910 0.271 Ta
0.375 0.620 0.003 Ta
0.162 0.782 0.529 Ta
0.000 0.000 0.000 Ta
0.375 0.003 0.620 Ta
```



# 6
VASP calculation (PBE-GGA) on an optimized crystal structure of Ta24Al19.

## Properties
Magnetization: 0.01 μB per formula unit
ΔH_f (0 K): -265 meV/atom

Geometry as POSCAR:
```
Ta24Al19
1.0
9.929 0.000 0.000
0.000 9.933 0.000
0.000 7.293 14.691
Al Ta
38 48
Direct
0.027 0.373 0.171 Al
0.031 0.899 0.459 Al
0.969 0.101 0.541 Al
0.203 0.312 0.312 Al
0.473 0.373 0.671 Al
0.655 0.934 0.849 Al
0.531 0.101 0.041 Al
0.845 0.934 0.349 Al
0.270 0.573 0.310 Al
0.797 0.688 0.688 Al
0.708 0.412 0.350 Al
0.297 0.312 0.812 Al
0.714 0.683 0.850 Al
0.161 0.832 0.810 Al
0.214 0.317 0.650 Al
0.786 0.683 0.350 Al
0.339 0.832 0.310 Al
0.230 0.573 0.810 Al
0.703 0.688 0.188 Al
0.839 0.168 0.190 Al
0.286 0.317 0.150 Al
0.103 0.572 0.544 Al
0.397 0.572 0.044 Al
0.770 0.427 0.190 Al
0.500 0.000 0.500 Al
0.897 0.428 0.456 Al
0.527 0.627 0.329 Al
0.208 0.588 0.150 Al
0.345 0.066 0.151 Al
0.661 0.168 0.690 Al
0.792 0.412 0.850 Al
0.973 0.627 0.829 Al
0.292 0.588 0.650 Al
0.603 0.428 0.956 Al
0.730 0.427 0.690 Al
0.469 0.899 0.959 Al
0.155 0.066 0.651 Al
0.000 0.000 0.000 Al
0.486 0.460 0.223 Ta
0.727 0.921 0.021 Ta
0.139 0.540 0.988 Ta
0.921 0.820 0.912 Ta
0.433 0.718 0.863 Ta
0.655 0.649 0.030 Ta
0.227 0.079 0.479 Ta
0.658 0.154 0.334 Ta
0.098 0.102 0.816 Ta
0.421 0.180 0.588 Ta
0.879 0.948 0.719 Ta
0.571 0.212 0.860 Ta
0.567 0.282 0.137 Ta
0.514 0.540 0.777 Ta
0.342 0.846 0.666 Ta
0.945 0.684 0.091 Ta
0.055 0.316 0.909 Ta
0.379 0.052 0.781 Ta
0.861 0.460 0.012 Ta
0.296 0.820 0.478 Ta
0.121 0.052 0.281 Ta
0.155 0.351 0.470 Ta
0.158 0.846 0.166 Ta
0.345 0.351 0.970 Ta
0.014 0.460 0.723 Ta
0.079 0.180 0.088 Ta
0.842 0.154 0.834 Ta
0.273 0.079 0.979 Ta
0.071 0.788 0.640 Ta
0.445 0.316 0.409 Ta
0.429 0.788 0.140 Ta
0.598 0.898 0.684 Ta
0.704 0.180 0.522 Ta
0.796 0.180 0.022 Ta
0.639 0.460 0.512 Ta
0.929 0.212 0.360 Ta
0.986 0.540 0.277 Ta
0.067 0.718 0.363 Ta
0.579 0.820 0.412 Ta
0.621 0.948 0.219 Ta
0.773 0.921 0.521 Ta
0.902 0.898 0.184 Ta
0.845 0.649 0.530 Ta
0.361 0.540 0.488 Ta
0.933 0.282 0.637 Ta
0.204 0.820 0.978 Ta
0.402 0.102 0.316 Ta
0.555 0.684 0.591 Ta
```